Here is a geometry-optimized La6Si3Ni2 structure from the Materials Project. Energies are from GGA-PBE.

ΔE_f = -0.490 eV/atom

a b c (Å): 4.5654 11.8574 11.9067
angles (deg): 60.20 90.00 90.00
Closest atoms and distances in Å follow each position.
Fractional coordinates of all 22 atoms:
La: 0.0000 0.7689 0.2229  2 Ni 2.95, 3 Si 3.16-3.18
La: 0.0000 0.3789 0.4862  6 Si 3.12-3.28, 1 Ni 3.16
La: 0.5000 0.6157 0.5206  5 Si 3.13-3.31, 2 Ni 3.19
La: 0.5000 0.9932 0.2318  2 Ni 2.97, 3 Si 3.14-3.20
La: 0.5000 0.5213 0.8622  3 Si 3.06-3.19, 4 Ni 3.16-3.29
La: 0.5000 0.2331 0.7728  4 Ni 2.96-3.16, 1 Si 3.14
La: 0.0000 0.4863 0.1373  6 Si 3.12-3.28, 1 Ni 3.14
La: 0.5000 0.8629 0.6234  5 Si 3.13-3.22, 2 Ni 3.29
La: 0.0000 0.1425 0.3732  7 Si 3.09-3.24
La: 0.0000 0.2352 0.9956  3 Ni 2.98-2.99, 2 Si 3.22
La: 0.0000 0.9991 0.7698  3 Ni 2.96-3.04, 2 Si 3.23
La: 0.5000 0.7672 0.9943  4 Ni 3.01-3.13, 1 Si 3.12
Si: 0.0000 0.8445 0.4427  1 Si 2.50
Si: 0.5000 0.5590 0.2883  1 Si 2.44
Si: 0.5000 0.3341 0.3336  3 Si 2.44-2.45
Si: 0.0000 0.6627 0.6725  2 Ni 2.44, 1 Si 2.50
Si: 0.5000 0.1548 0.5566  1 Si 2.44
Si: 0.5000 0.2879 0.1544  1 Si 2.45
Ni: 0.2504 0.0004 0.9983  2 Ni 2.28-2.29
Ni: 0.0000 0.4388 0.7170  1 Si 2.44
Ni: 0.0000 0.7128 0.8481  1 Si 2.44
Ni: 0.7496 0.0004 0.9983  2 Ni 2.28-2.29